VASP calculation (PBE) on a relaxed structure of S.

Structure (POSCAR):
```
S
1.0
7.9777 0.0000 0.0000
0.0000 5.3018 0.0000
-0.1337 0.0000 3.7217
S
4
Cartesian
1.9554 0.8470 0.0937
1.8886 1.8039 1.9545
5.9554 3.4979 1.7672
5.8886 4.4548 3.6280
```

Results
Its space-group type is No. 14. As for the energy above the lowest structure with this stoichiometry: 34 kJ/mol of formula units.

VASP calculation (PBE) on a relaxed structure of S.

Structure (POSCAR):
```
S
1.0
5.6635 0.0000 0.0000
0.0000 9.6325 0.0000
0.0000 0.0000 15.7105
S
24
Cartesian
0.0000 0.0000 3.3600
0.0000 0.0000 12.3504
0.0535 2.9249 1.6845
0.0535 2.9249 14.0259
1.0775 7.0955 0.0000
1.1350 1.2261 2.1455
1.1350 1.2261 13.5650
1.6967 6.0424 5.7097
1.6967 6.0424 10.0007
1.7542 2.2793 7.8552
2.7782 7.7412 6.1707
2.7782 7.7412 9.5398
2.8317 4.8162 4.4952
2.8317 4.8162 11.2153
2.8853 1.8913 6.1707
2.8853 1.8913 9.5398
3.9093 7.3532 7.8552
3.9667 3.5901 5.7097
3.9667 3.5901 10.0007
4.5285 8.4063 2.1455
4.5285 8.4063 13.5650
4.5859 2.5370 0.0000
5.6099 6.7076 1.6845
5.6099 6.7076 14.0259
```

Results
Its space-group type is No. 58. As for the energy above the lowest structure with this stoichiometry: 1 kJ/mol of formula units.

VASP calculation (PBE) on a relaxed structure of S.

Structure (POSCAR):
```
S
1.0
5.8521 0.0000 0.0000
0.0000 5.8521 0.0000
0.0000 0.0000 2.9885
S
4
Cartesian
0.6696 0.6696 0.0000
2.2564 3.5956 1.4943
3.5956 2.2564 1.4943
5.1825 5.1825 0.0000
```

Results
Its space-group type is No. 136. As for the energy above the lowest structure with this stoichiometry: 34 kJ/mol of formula units.

VASP calculation (PBE) on a relaxed structure of S.

Structure (POSCAR):
```
S
1.0
15.4990 0.0000 0.0000
-7.7495 13.4225 0.0000
0.0000 0.0000 5.3136
S
18
Cartesian
-5.3571 10.8558 0.3941
1.0267 3.3553 0.3941
3.2950 1.4944 4.1783
2.7449 2.4947 0.4189
3.5104 6.0668 0.6594
6.8608 0.7258 0.0000
8.4898 0.0067 0.6594
4.9476 7.1180 0.0000
7.5766 3.2893 2.7475
6.8098 5.2164 2.7475
4.3304 12.6340 0.3941
8.8621 4.9169 2.7475
11.9661 1.1298 0.4189
7.3962 9.8217 4.1783
12.5572 2.1064 4.1783
8.5375 9.7980 0.4189
11.4400 5.5788 0.0000
11.2483 7.3490 0.6594
```

Results
Its space-group type is No. 143. As for the energy above the lowest structure with this stoichiometry: 42 kJ/mol of formula units.

VASP calculation (PBE) on a relaxed structure of S.

Structure (POSCAR):
```
S
1.0
10.4839 0.0000 0.0000
0.0000 8.2030 0.0000
-1.5682 0.0000 10.3868
S
28
Cartesian
-0.0324 0.9470 3.5237
-0.8165 3.1545 8.7171
-0.1713 1.5918 9.8722
0.6128 2.5097 4.6788
0.5267 4.7211 9.2718
1.3108 7.5833 4.0784
1.5403 0.8746 9.0040
2.3244 3.2269 3.8106
1.7718 4.9832 7.7568
2.5560 7.3212 2.5634
3.7757 1.7510 4.3400
2.9916 2.3505 9.5334
4.1480 0.6759 2.7202
3.3639 3.4255 7.9136
5.5518 4.7774 2.4732
4.7677 7.5270 7.6665
5.9241 5.8525 0.8534
5.1399 6.4520 6.0468
6.3597 0.8818 7.8234
7.1438 3.2197 2.6300
6.5912 4.9760 6.5761
7.3754 7.3284 1.3828
7.6049 0.6196 6.3084
8.3890 3.4819 1.1150
8.3028 5.6933 5.7079
9.0870 6.6112 0.5146
9.7322 5.0485 1.6696
8.9481 7.2560 6.8630
```

Results
Its space-group type is No. 14. As for the energy above the lowest structure with this stoichiometry: 4 kJ/mol of formula units.

VASP calculation (PBE) on a relaxed structure of SbS2.

Structure (POSCAR):
```
SbS2
1.0
-3.0307 3.0307 5.7976
3.0307 -3.0307 5.7976
3.0307 3.0307 -5.7976
Sb S
2 4
Cartesian
0.0000 0.0000 0.0000
0.0000 3.0307 2.8988
4.5461 1.3697 -1.4494
1.3697 1.5154 1.4494
-1.5154 1.6610 4.3482
1.6610 1.5154 7.2470
```

Results
Its space-group type is No. 122. The value obtained for the total energy is -24.00 eV/cell.

VASP calculation (PBE) on a relaxed structure of Sb17S27.

Structure (POSCAR):
```
Sb17S27
1.0
8.7761 0.0000 0.0000
-1.0080 8.7331 0.0000
-1.4447 -3.8332 14.8314
Sb S
17 27
Cartesian
0.0000 0.0000 0.0000
-1.0965 1.1980 8.7481
-0.0465 5.4612 1.7946
0.8949 1.9569 3.9705
0.8437 7.2070 5.8670
0.6695 2.3517 12.0163
1.4806 4.1032 8.7084
2.7421 3.0622 0.0012
3.5643 -0.4195 1.9008
3.5554 4.8487 3.9240
3.1009 5.0967 12.0218
4.4708 1.4214 5.8571
5.1073 -1.7323 8.7606
6.0983 2.5032 1.7968
6.1055 7.7173 3.9269
6.6355 -0.5171 11.9656
7.0776 4.2848 5.8241
-1.2415 3.9137 8.2408
-0.1591 2.9048 1.1011
0.9195 -0.6453 2.9674
0.9248 4.5019 4.8444
0.7312 -0.3318 12.4799
0.6194 4.8558 10.9066
1.1886 -3.4148 14.4532
1.8095 1.1295 6.2454
1.3536 1.5808 9.7665
2.3413 -1.9082 8.2517
2.4559 5.7722 1.1956
3.4770 2.2362 2.9599
3.0962 2.6501 12.5940
3.5547 7.4118 4.7551
3.7505 -0.6022 14.4307
4.2554 -0.9179 10.9212
4.3969 4.0317 6.2487
3.9693 4.5208 9.7734
4.9224 1.0206 8.2181
6.0846 -0.0296 1.2089
6.0061 5.2272 3.0282
7.1456 1.6219 4.8327
5.7953 5.3684 12.4796
6.7732 1.9103 10.9260
6.4507 2.4472 14.4329
7.0064 6.9469 6.2637
7.5626 -1.3348 9.8274
```

Results
Its space-group type is No. 1. The value obtained for the total energy is -189.45 eV/cell.